1.
# MgTe4Mo3WSe2S2 (PBE, optimized geometry)
# - calculated formation energy (eV per atom) = -0.460
# - VASP energy (eV/cell) = -159.81
# - crystal system = monoclinic
# - energy above the most stable polymorph in this dataset (eV/atom) = 0.005
# - magnetization (μB per formula unit) = 0.00
data_MgTe4Mo3WSe2S2
_cell_length_a 5.8692
_cell_length_b 3.3890
_cell_length_c 47.0330
_cell_angle_alpha 90.00
_cell_angle_beta 90.04
_cell_angle_gamma 90.00
_space_group_name_H-M_alt 'C 1 m 1'
_space_group_IT_number 8
_space_group_name_Hall 'C -2y'
loop_
_atom_site_label
_atom_site_type_symbol
_atom_site_fract_x
_atom_site_fract_y
_atom_site_fract_z
Mg1 Mg 0.0000 0.0000 0.0000
Te1 Te 0.1663 0.5000 0.4873
Te2 Te 0.1669 0.5000 0.5671
Te3 Te 0.1665 0.5000 0.8556
Te4 Te 0.1670 0.5000 0.9357
Mo1 Mo 0.1664 0.5000 0.0991
Mo2 Mo 0.3332 0.0000 0.5272
Mo3 Mo 0.3334 0.0000 0.8954
W1 W 0.1666 0.5000 0.7149
Se1 Se 0.3330 0.0000 0.0636
Se2 Se 0.3331 0.0000 0.1341
S1 S 0.3330 0.0000 0.6828
S2 S 0.3334 0.0000 0.7470

2.
# MgTe4Mo3WSe2S2 (PBE, optimized geometry)
# - calculated formation energy (eV per atom) = -0.458
# - VASP energy (eV/cell) = -79.89
# - crystal system = trigonal
# - energy above the most stable polymorph in this dataset (eV/atom) = 0.007
# - magnetization (μB per formula unit) = 0.00
data_MgTe4Mo3WSe2S2
_cell_length_a 3.3915
_cell_length_b 3.3915
_cell_length_c 44.5349
_cell_angle_alpha 90.00
_cell_angle_beta 90.00
_cell_angle_gamma 120.00
_space_group_name_H-M_alt 'P 3 m 1'
_space_group_IT_number 156
_space_group_name_Hall 'P 3 -2"'
loop_
_atom_site_label
_atom_site_type_symbol
_atom_site_fract_x
_atom_site_fract_y
_atom_site_fract_z
Mg1 Mg 0.0000 0.0000 0.0000
Te1 Te 0.3333 0.6667 0.2423
Te2 Te 0.3333 0.6667 0.3266
Te3 Te 0.6667 0.3333 0.6783
Te4 Te 0.6667 0.3333 0.7626
Mo1 Mo 0.3333 0.6667 0.7205
Mo2 Mo 0.6667 0.3333 0.2844
Mo3 Mo 0.6667 0.3333 0.9038
W1 W 0.3333 0.6667 0.1030
Se1 Se 0.3333 0.6667 0.8669
Se2 Se 0.3333 0.6667 0.9415
S1 S 0.6667 0.3333 0.0692
S2 S 0.6667 0.3333 0.1367

3.
# MgTe4Mo3WSe2S2 (PBE, optimized geometry)
# - calculated formation energy (eV per atom) = -0.430
# - VASP energy (eV/cell) = -159.04
# - crystal system = monoclinic
# - energy above the most stable polymorph in this dataset (eV/atom) = 0.035
# - magnetization (μB per formula unit) = 0.04
data_MgTe4Mo3WSe2S2
_cell_length_a 5.8908
_cell_length_b 3.4011
_cell_length_c 45.5199
_cell_angle_alpha 90.00
_cell_angle_beta 90.03
_cell_angle_gamma 90.00
_space_group_name_H-M_alt 'C 1 m 1'
_space_group_IT_number 8
_space_group_name_Hall 'C -2y'
loop_
_atom_site_label
_atom_site_type_symbol
_atom_site_fract_x
_atom_site_fract_y
_atom_site_fract_z
Mg1 Mg 0.0000 0.0000 0.0000
Te1 Te 0.1666 0.5000 0.0719
Te2 Te 0.1670 0.5000 0.1548
Te3 Te 0.1666 0.5000 0.6897
Te4 Te 0.1669 0.5000 0.7721
Mo1 Mo 0.1668 0.5000 0.5429
Mo2 Mo 0.1670 0.5000 0.9117
Mo3 Mo 0.3334 0.0000 0.7309
W1 W 0.3335 0.0000 0.1135
Se1 Se 0.3333 0.0000 0.5067
Se2 Se 0.3336 0.0000 0.5791
S1 S 0.3335 0.0000 0.8791
S2 S 0.3338 0.0000 0.9451

4.
# MgTe4Mo3WSe2S2 (PBE, optimized geometry)
# - calculated formation energy (eV per atom) = -0.424
# - VASP energy (eV/cell) = -158.88
# - crystal system = monoclinic
# - energy above the most stable polymorph in this dataset (eV/atom) = 0.041
# - magnetization (μB per formula unit) = 0.01
data_MgTe4Mo3WSe2S2
_cell_length_a 5.8687
_cell_length_b 3.3884
_cell_length_c 38.7103
_cell_angle_alpha 90.00
_cell_angle_beta 90.00
_cell_angle_gamma 90.00
_space_group_name_H-M_alt 'C 1 m 1'
_space_group_IT_number 8
_space_group_name_Hall 'C -2y'
loop_
_atom_site_label
_atom_site_type_symbol
_atom_site_fract_x
_atom_site_fract_y
_atom_site_fract_z
Mg1 Mg 0.0000 0.0000 0.0000
Te1 Te 0.0030 0.0000 0.7357
Te2 Te 0.0030 0.0000 0.8327
Te3 Te 0.3363 0.0000 0.1721
Te4 Te 0.3363 0.0000 0.2690
Mo1 Mo 0.0030 0.0000 0.2205
Mo2 Mo 0.3364 0.0000 0.4084
Mo3 Mo 0.3364 0.0000 0.7842
W1 W 0.0030 0.0000 0.5962
Se1 Se 0.3363 0.0000 0.5534
Se2 Se 0.3363 0.0000 0.6391
S1 S 0.0030 0.0000 0.3695
S2 S 0.0030 0.0000 0.4473

5.
# MgTe2Mo3WSe4S2 (PBE, optimized geometry)
# - calculated formation energy (eV per atom) = -0.538
# - VASP energy (eV/cell) = -81.63
# - crystal system = trigonal
# - energy above the most stable polymorph in this dataset (eV/atom) = 0.031
# - magnetization (μB per formula unit) = 0.00
data_MgTe2Mo3WSe4S2
_cell_length_a 3.3475
_cell_length_b 3.3475
_cell_length_c 44.2132
_cell_angle_alpha 90.00
_cell_angle_beta 90.00
_cell_angle_gamma 120.00
_space_group_name_H-M_alt 'P 3 m 1'
_space_group_IT_number 156
_space_group_name_Hall 'P 3 -2"'
loop_
_atom_site_label
_atom_site_type_symbol
_atom_site_fract_x
_atom_site_fract_y
_atom_site_fract_z
Mg1 Mg 0.0000 0.0000 0.0000
Te1 Te 0.3333 0.6667 0.2441
Te2 Te 0.3333 0.6667 0.3303
Mo1 Mo 0.3333 0.6667 0.1037
Mo2 Mo 0.3333 0.6667 0.7228
Mo3 Mo 0.6667 0.3333 0.9055
W1 W 0.6667 0.3333 0.2872
Se1 Se 0.6667 0.3333 0.0656
Se2 Se 0.6667 0.3333 0.1413
Se3 Se 0.6667 0.3333 0.6851
Se4 Se 0.6667 0.3333 0.7604
S1 S 0.3333 0.6667 0.8714
S2 S 0.3333 0.6667 0.9403

6.
# MgTe2Mo3WSe4S2 (PBE, optimized geometry)
# - calculated formation energy (eV per atom) = -0.554
# - VASP energy (eV/cell) = -81.84
# - crystal system = trigonal
# - energy above the most stable polymorph in this dataset (eV/atom) = 0.015
# - magnetization (μB per formula unit) = 0.00
data_MgTe2Mo3WSe4S2
_cell_length_a 3.3421
_cell_length_b 3.3421
_cell_length_c 44.6301
_cell_angle_alpha 90.00
_cell_angle_beta 90.00
_cell_angle_gamma 120.00
_space_group_name_H-M_alt 'P 3 m 1'
_space_group_IT_number 156
_space_group_name_Hall 'P 3 -2"'
loop_
_atom_site_label
_atom_site_type_symbol
_atom_site_fract_x
_atom_site_fract_y
_atom_site_fract_z
Mg1 Mg 0.0000 0.0000 0.0000
Te1 Te 0.3333 0.6667 0.2290
Te2 Te 0.3333 0.6667 0.3140
Mo1 Mo 0.3333 0.6667 0.0891
Mo2 Mo 0.3333 0.6667 0.7076
Mo3 Mo 0.6667 0.3333 0.2715
W1 W 0.6667 0.3333 0.8884
Se1 Se 0.3333 0.6667 0.8509
Se2 Se 0.3333 0.6667 0.9261
Se3 Se 0.6667 0.3333 0.6702
Se4 Se 0.6667 0.3333 0.7450
S1 S 0.6667 0.3333 0.0543
S2 S 0.6667 0.3333 0.1228

7.
# MgTe4Mo2W2Se2S2 (PBE, optimized geometry)
# - calculated formation energy (eV per atom) = -0.379
# - VASP energy (eV/cell) = -80.96
# - crystal system = triclinic
# - energy above the most stable polymorph in this dataset (eV/atom) = 0.053
# - magnetization (μB per formula unit) = 0.01
data_MgTe4Mo2W2Se2S2
_cell_length_a 3.3953
_cell_length_b 3.3955
_cell_length_c 38.6839
_cell_angle_alpha 90.00
_cell_angle_beta 90.00
_cell_angle_gamma 120.00
_space_group_name_H-M_alt 'P 1'
_space_group_IT_number 1
_space_group_name_Hall 'P 1'
loop_
_atom_site_label
_atom_site_type_symbol
_atom_site_fract_x
_atom_site_fract_y
_atom_site_fract_z
Mg1 Mg 0.0000 0.0000 0.0000
Te1 Te 0.6281 0.3086 0.1719
Te2 Te 0.6281 0.3086 0.2687
Te3 Te 0.9615 0.9753 0.7353
Te4 Te 0.9616 0.9753 0.8326
Mo1 Mo 0.6282 0.3087 0.4082
Mo2 Mo 0.9615 0.9753 0.2203
W1 W 0.6282 0.3087 0.7840
W2 W 0.9615 0.9753 0.5960
Se1 Se 0.6281 0.3086 0.5533
Se2 Se 0.6281 0.3086 0.6388
S1 S 0.9615 0.9753 0.3694
S2 S 0.9616 0.9753 0.4470

8.
# MgTe2MoW3Se4S2 (PBE, optimized geometry)
# - calculated formation energy (eV per atom) = -0.510
# - VASP energy (eV/cell) = -85.48
# - crystal system = trigonal
# - energy above the most stable polymorph in this dataset (eV/atom) = 0.005
# - magnetization (μB per formula unit) = 0.01
data_MgTe2MoW3Se4S2
_cell_length_a 3.3362
_cell_length_b 3.3362
_cell_length_c 45.9798
_cell_angle_alpha 90.00
_cell_angle_beta 90.00
_cell_angle_gamma 120.00
_space_group_name_H-M_alt 'P 3 m 1'
_space_group_IT_number 156
_space_group_name_Hall 'P 3 -2"'
loop_
_atom_site_label
_atom_site_type_symbol
_atom_site_fract_x
_atom_site_fract_y
_atom_site_fract_z
Mg1 Mg 0.0000 0.0000 0.0000
Te1 Te 0.6667 0.3333 0.6727
Te2 Te 0.6667 0.3333 0.7553
Mo1 Mo 0.3333 0.6667 0.7140
W1 W 0.3333 0.6667 0.0977
W2 W 0.6667 0.3333 0.2781
W3 W 0.6667 0.3333 0.8951
Se1 Se 0.3333 0.6667 0.2416
Se2 Se 0.3333 0.6667 0.3146
Se3 Se 0.3333 0.6667 0.8587
Se4 Se 0.3333 0.6667 0.9319
S1 S 0.6667 0.3333 0.0643
S2 S 0.6667 0.3333 0.1307

9.
# MgTe2Mo3WSe4S2 (PBE, optimized geometry)
# - calculated formation energy (eV per atom) = -0.533
# - VASP energy (eV/cell) = -81.56
# - crystal system = triclinic
# - energy above the most stable polymorph in this dataset (eV/atom) = 0.036
# - magnetization (μB per formula unit) = 0.01
data_MgTe2Mo3WSe4S2
_cell_length_a 3.3375
_cell_length_b 3.3376
_cell_length_c 38.0677
_cell_angle_alpha 90.00
_cell_angle_beta 90.00
_cell_angle_gamma 119.99
_space_group_name_H-M_alt 'P 1'
_space_group_IT_number 1
_space_group_name_Hall 'P 1'
loop_
_atom_site_label
_atom_site_type_symbol
_atom_site_fract_x
_atom_site_fract_y
_atom_site_fract_z
Mg1 Mg 0.0000 0.0000 0.0000
Te1 Te 0.9925 0.0288 0.1759
Te2 Te 0.9925 0.0289 0.2757
Mo1 Mo 0.6592 0.3622 0.2258
Mo2 Mo 0.6592 0.3622 0.6016
Mo3 Mo 0.9925 0.0288 0.4138
W1 W 0.9925 0.0288 0.7895
Se1 Se 0.6591 0.3622 0.3699
Se2 Se 0.6591 0.3622 0.4576
Se3 Se 0.6591 0.3622 0.7454
Se4 Se 0.6591 0.3622 0.8335
S1 S 0.9925 0.0289 0.5617
S2 S 0.9926 0.0289 0.6415

10.
# MgTe2Mo3WSe4S2 (PBE, optimized geometry)
# - calculated formation energy (eV per atom) = -0.554
# - VASP energy (eV/cell) = -81.84
# - crystal system = trigonal
# - energy above the most stable polymorph in this dataset (eV/atom) = 0.015
# - magnetization (μB per formula unit) = 0.01
data_MgTe2Mo3WSe4S2
_cell_length_a 3.3432
_cell_length_b 3.3432
_cell_length_c 44.7498
_cell_angle_alpha 90.00
_cell_angle_beta 90.00
_cell_angle_gamma 120.00
_space_group_name_H-M_alt 'P 3 m 1'
_space_group_IT_number 156
_space_group_name_Hall 'P 3 -2"'
loop_
_atom_site_label
_atom_site_type_symbol
_atom_site_fract_x
_atom_site_fract_y
_atom_site_fract_z
Mg1 Mg 0.0000 0.0000 0.0000
Te1 Te 0.6667 0.3333 0.4974
Te2 Te 0.6667 0.3333 0.5822
Mo1 Mo 0.3333 0.6667 0.5398
Mo2 Mo 0.3333 0.6667 0.9103
Mo3 Mo 0.6667 0.3333 0.7285
W1 W 0.6667 0.3333 0.1110
Se1 Se 0.3333 0.6667 0.0734
Se2 Se 0.3333 0.6667 0.1484
Se3 Se 0.3333 0.6667 0.6913
Se4 Se 0.3333 0.6667 0.7657
S1 S 0.6667 0.3333 0.8767
S2 S 0.6667 0.3333 0.9449